[1]
Entry from the Materials Project database: crystalline DyIn6Cu6 at its relaxed geometry (PBE-GGA).

**ΔH_f (0 K)**: -0.12 eV per atom
**ρ**: 8.75 Mg/m³
**DFT total energy**: -3.64 eV per atom

Cell: 7.054 7.054 7.054 Å, 133.49 99.18 98.75°
Atoms (fractional coordinates):
1 Dy 0.000 0.000 0.000
2 In 0.186 0.686 0.500
3 In 0.336 0.000 0.336
4 In 0.342 0.342 0.000
5 In 0.658 0.658 0.000
6 In 0.664 0.000 0.664
7 In 0.814 0.314 0.500
8 Cu 0.000 0.000 0.500
9 Cu 0.000 0.500 0.000
10 Cu 0.235 0.500 0.735
11 Cu 0.500 0.000 0.000
12 Cu 0.500 0.500 0.500
13 Cu 0.765 0.500 0.265

---

[2]
Entry from the Materials Project database: crystalline CaC4 at its relaxed geometry (PBE-GGA).

**ΔH_f (0 K)**: 0.33 eV per atom
**ρ**: 2.94 Mg/m³
**DFT total energy**: -7.46 eV per atom
**E above lowest polymorph**: 0.000 eV/atom

Cell: 3.548 3.548 3.958 Å, 90.00 90.00 90.00°
Atoms (fractional coordinates):
1 Ca 0.000 0.000 0.000
2 C 0.202 0.500 0.500
3 C 0.500 0.202 0.500
4 C 0.500 0.798 0.500
5 C 0.798 0.500 0.500